# 1
Density functional theory data (GGA+U) for CaNiO2 after structural relaxation.

Lattice parameters (Å, degrees): 3.787 3.787 3.208 90.00 90.00 90.00
Space group P4/mmm (No. 123)
Unique sites:
Ca 0.000 0.000 0.000
Ni 0.500 0.500 0.500
O 0.000 0.500 0.500

Computed properties:
The total energy is -5.4200 eV per atom.

=====

# 2
Density functional theory data (GGA+U) for CaNi2O4 after structural relaxation.

Lattice parameters (Å, degrees): 6.078 6.080 6.097 118.22 93.09 118.13
Space group P-1 (No. 2)
Unique sites:
Ca 0.127 0.255 0.377
Ni 0.000 0.500 0.000
Ni 0.500 0.000 0.000
Ni 0.500 0.000 0.500
Ni 0.500 0.500 0.000
O 0.239 0.505 0.811
O 0.262 0.574 0.262
O 0.306 0.072 0.811
O 0.314 0.008 0.241

Computed properties:
The total energy is -5.2541 eV per atom.

=====

# 3
Density functional theory data (GGA+U) for Ca2Ni3O8 after structural relaxation.

Lattice parameters (Å, degrees): 10.947 5.825 4.932 90.00 109.46 90.00
Space group C2/m (No. 12)
Unique sites:
Ca 0.222 0.000 0.163
Ni 0.000 0.247 0.500
Ni 0.000 0.500 0.000
O 0.094 0.500 0.400
O 0.100 0.279 0.888
O 0.101 0.000 0.462

Computed properties:
The total energy is -5.2541 eV per atom.

=====

# 4
Density functional theory data (GGA+U) for CaNi2O4 after structural relaxation.

Lattice parameters (Å, degrees): 10.621 6.080 6.067 90.00 124.68 90.00
Space group C2/m (No. 12)
Unique sites:
Ca 0.124 0.000 0.376
Ni 0.000 0.500 0.000
Ni 0.000 0.500 0.500
Ni 0.250 0.250 0.000
O 0.021 0.292 0.761
O 0.219 0.500 0.192
O 0.244 0.500 0.793

Computed properties:
The total energy is -5.2246 eV per atom.

=====

# 5
Density functional theory data (GGA+U) for CaNiO2 after structural relaxation.

Lattice parameters (Å, degrees): 3.130 8.136 8.275 77.28 80.51 89.77
Space group P-1 (No. 2)
Unique sites:
Ca 0.132 0.395 0.267
Ca 0.267 0.191 0.962
Ni 0.080 0.735 0.370
Ni 0.395 0.954 0.688
O 0.160 0.948 0.190
O 0.307 0.726 0.873
O 0.381 0.395 0.715
O 0.480 0.184 0.492

Computed properties:
The total energy is -5.5439 eV per atom.

=====

# 6
Density functional theory data (GGA+U) for CaNi2O4 after structural relaxation.

Lattice parameters (Å, degrees): 3.011 7.246 8.419 68.37 79.76 78.25
Space group P1 (No. 1)
Unique sites:
Ca 0.000 0.000 0.000
Ca 0.295 0.745 0.688
Ni 0.057 0.270 0.623
Ni 0.229 0.486 0.067
Ni 0.486 0.695 0.343
Ni 0.802 0.058 0.346
O 0.071 0.664 0.203
O 0.215 0.086 0.490
O 0.405 0.984 0.212
O 0.521 0.443 0.524
O 0.542 0.134 0.783
O 0.738 0.634 0.909
O 0.766 0.312 0.164
O 0.885 0.768 0.475

Computed properties:
The total energy is -5.1574 eV per atom.